# 1
Density functional theory data (PBE) for crystalline K8Ti5P2O8F22 at its relaxed geometry.

Output
Energy relative to the elements   -3417 meV/atom
Total DFT energy (no corrections)   -6.199 eV/atom

a b c (Å): 10.984 10.435 25.068
angles (deg): 81.66 90.00 90.00
Sites, in units of the cell vectors:
P 0.912 0.124 0.614
P 0.584 0.985 0.925
P 0.588 0.624 0.114
P 0.916 0.485 0.425
P 0.416 0.015 0.075
P 0.088 0.876 0.386
P 0.412 0.376 0.886
P 0.084 0.515 0.575
O 0.976 0.477 0.613
O 0.398 0.910 0.038
O 0.298 0.460 0.890
O 0.055 0.807 0.443
O 0.702 0.973 0.892
O 0.116 0.772 0.350
O 0.798 0.473 0.392
O 0.555 0.693 0.057
O 0.024 0.523 0.387
O 0.519 0.462 0.863
O 0.102 0.410 0.538
O 0.481 0.538 0.137
O 0.602 0.090 0.962
O 0.476 0.023 0.887
O 0.798 0.040 0.610
O 0.524 0.977 0.113
O 0.202 0.960 0.390
O 0.558 0.854 0.960
O 0.884 0.228 0.650
O 0.981 0.962 0.363
O 0.445 0.307 0.943
O 0.942 0.354 0.460
O 0.384 0.272 0.850
O 0.019 0.038 0.637
O 0.298 0.027 0.108
O 0.945 0.193 0.557
O 0.898 0.590 0.462
O 0.202 0.527 0.608
O 0.442 0.146 0.040
O 0.702 0.540 0.110
O 0.058 0.646 0.540
O 0.616 0.728 0.150
F 0.629 0.046 0.527
F 0.352 0.676 0.536
F 0.896 0.087 0.845
F 0.552 0.948 0.402
F 0.887 0.362 0.113
F 0.402 0.533 0.239
F 0.620 0.229 0.593
F 0.871 0.546 0.027
F 0.950 0.064 0.087
F 0.266 0.049 0.838
F 0.918 0.863 0.722
F 0.375 0.670 0.642
F 0.613 0.862 0.613
F 0.113 0.638 0.887
F 0.084 0.329 0.700
F 0.582 0.363 0.222
F 0.129 0.454 0.973
F 0.902 0.967 0.261
F 0.120 0.271 0.907
F 0.584 0.171 0.800
F 0.236 0.942 0.665
F 0.453 0.968 0.784
F 0.304 0.818 0.954
F 0.876 0.081 0.951
F 0.766 0.451 0.662
F 0.956 0.881 0.534
F 0.880 0.729 0.093
F 0.450 0.436 0.413
F 0.936 0.224 0.349
F 0.625 0.330 0.358
F 0.598 0.467 0.761
F 0.387 0.138 0.387
F 0.125 0.170 0.142
F 0.416 0.829 0.200
F 0.436 0.276 0.151
F 0.638 0.796 0.249
F 0.608 0.043 0.679
F 0.396 0.413 0.655
F 0.564 0.724 0.849
F 0.862 0.296 0.749
F 0.736 0.558 0.835
F 0.392 0.957 0.321
F 0.044 0.119 0.466
F 0.362 0.204 0.751
F 0.547 0.032 0.216
F 0.892 0.543 0.179
F 0.806 0.840 0.454
F 0.147 0.779 0.751
F 0.194 0.160 0.546
F 0.108 0.457 0.821
F 0.264 0.442 0.165
F 0.604 0.587 0.345
F 0.380 0.771 0.407
F 0.948 0.448 0.902
F 0.694 0.340 0.954
F 0.734 0.951 0.162
F 0.852 0.824 0.964
F 0.138 0.704 0.251
F 0.234 0.549 0.338
F 0.648 0.324 0.464
F 0.456 0.619 0.966
F 0.376 0.419 0.549
F 0.448 0.052 0.598
F 0.082 0.137 0.278
F 0.853 0.221 0.249
F 0.148 0.176 0.036
F 0.804 0.682 0.546
F 0.064 0.776 0.651
F 0.544 0.381 0.034
F 0.875 0.830 0.858
F 0.916 0.671 0.300
F 0.104 0.913 0.155
F 0.696 0.182 0.046
F 0.418 0.637 0.778
F 0.047 0.468 0.284
F 0.196 0.318 0.454
F 0.764 0.058 0.335
F 0.124 0.919 0.049
F 0.098 0.033 0.739
F 0.550 0.564 0.587
F 0.050 0.936 0.913
F 0.624 0.581 0.451
F 0.353 0.279 0.251
F 0.371 0.954 0.473
F 0.306 0.660 0.046
F 0.647 0.721 0.749
F 0.953 0.532 0.716
F 0.052 0.552 0.098
K 0.056 0.344 0.197
K 0.444 0.844 0.697
K 0.421 0.214 0.494
K 0.579 0.786 0.506
K 0.411 0.704 0.303
K 0.691 0.221 0.148
K 0.221 0.541 0.722
K 0.279 0.041 0.222
K 0.758 0.299 0.853
K 0.779 0.459 0.278
K 0.089 0.204 0.803
K 0.921 0.286 0.006
K 0.246 0.070 0.950
K 0.809 0.721 0.648
K 0.944 0.656 0.803
K 0.754 0.930 0.050
K 0.746 0.430 0.550
K 0.079 0.714 0.994
K 0.556 0.156 0.303
K 0.589 0.296 0.697
K 0.742 0.799 0.353
K 0.242 0.701 0.147
K 0.309 0.779 0.852
K 0.258 0.201 0.647
K 0.721 0.959 0.778
K 0.702 0.612 0.944
K 0.298 0.388 0.056
K 0.254 0.570 0.450
K 0.911 0.796 0.197
K 0.798 0.112 0.444
K 0.202 0.888 0.556
K 0.191 0.279 0.352
Ti 0.421 0.404 0.196
Ti 0.079 0.617 0.317
Ti 0.079 0.904 0.696
Ti 0.882 0.955 0.905
Ti 0.121 0.454 0.898
Ti 0.921 0.383 0.683
Ti 0.618 0.455 0.405
Ti 0.382 0.545 0.595
Ti 0.879 0.546 0.102
Ti 0.579 0.596 0.804
Ti 0.429 0.755 0.004
Ti 0.579 0.883 0.183
Ti 0.621 0.046 0.602
Ti 0.118 0.045 0.095
Ti 0.571 0.245 0.996
Ti 0.929 0.745 0.496
Ti 0.071 0.255 0.504
Ti 0.921 0.096 0.304
Ti 0.379 0.954 0.398
Ti 0.421 0.117 0.817

# 2
Density functional theory data (PBE) for crystalline YMgCrS4 at its relaxed geometry.

Output
Energy relative to the elements   -1622 meV/atom
Total DFT energy (no corrections)   -6.230 eV/atom

a b c (Å): 7.652 7.567 7.567
angles (deg): 59.44 59.63 59.63
Sites, in units of the cell vectors:
S 0.729 0.271 0.770
S 0.720 0.246 0.246
S 0.271 0.729 0.229
S 0.711 0.754 0.754
S 0.729 0.771 0.271
S 0.280 0.754 0.754
S 0.271 0.230 0.729
S 0.289 0.246 0.246
Cr 0.500 0.000 0.500
Cr 0.500 0.500 0.000
Y 0.000 0.500 0.500
Y 0.500 0.500 0.500
Mg 0.126 0.124 0.124
Mg 0.874 0.876 0.876

# 3
Density functional theory data (PBE) for crystalline MgSi at its relaxed geometry.

Output
Energy relative to the elements   114 meV/atom
Total DFT energy (no corrections)   -3.435 eV/atom

a b c (Å): 5.046 5.051 9.260
angles (deg): 97.57 94.35 104.74
Sites, in units of the cell vectors:
Mg 0.008 0.618 0.607
Mg 0.237 0.329 0.839
Mg 0.790 0.179 0.048
Mg 0.617 0.989 0.708
Mg 0.695 0.088 0.372
Mg 0.070 0.721 0.280
Si 0.803 0.590 0.879
Si 0.561 0.657 0.102
Si 0.185 0.150 0.547
Si 0.485 0.533 0.455
Si 0.292 0.272 0.203
Si 0.258 0.874 0.960

# 4
Density functional theory data (PBE) for crystalline TiPb15O17 at its relaxed geometry.

Output
Energy relative to the elements   -1653 meV/atom
Total DFT energy (no corrections)   -5.775 eV/atom

a b c (Å): 4.110 31.704 5.294
angles (deg): 90.00 90.00 90.00
Sites, in units of the cell vectors:
Ti 0.500 0.875 0.865
Pb 0.000 0.312 0.226
Pb 0.000 0.438 0.226
Pb 0.000 0.815 0.241
Pb 0.000 0.935 0.241
Pb 0.000 0.688 0.222
Pb 0.500 0.625 0.773
Pb 0.500 0.500 0.774
Pb 0.500 0.125 0.773
Pb 0.000 0.563 0.225
Pb 0.500 0.250 0.774
Pb 0.500 0.998 0.777
Pb 0.500 0.375 0.774
Pb 0.000 0.187 0.225
Pb 0.500 0.752 0.777
Pb 0.000 0.062 0.222
O 0.500 0.933 0.002
O 0.000 0.500 0.991
O 0.000 0.625 0.991
O 0.500 0.312 0.008
O 0.500 0.817 0.002
O 0.000 0.125 0.991
O 0.500 0.563 0.008
O 0.000 0.998 0.994
O 0.000 0.375 0.991
O 0.000 0.250 0.991
O 0.500 0.062 0.004
O 0.500 0.187 0.008
O 0.500 0.875 0.542
O 0.000 0.875 0.971
O 0.500 0.438 0.008
O 0.500 0.688 0.004
O 0.000 0.752 0.994

Repeat the second record exactly.
Density functional theory data (PBE) for crystalline YMgCrS4 at its relaxed geometry.

Output
Energy relative to the elements   -1622 meV/atom
Total DFT energy (no corrections)   -6.230 eV/atom

a b c (Å): 7.652 7.567 7.567
angles (deg): 59.44 59.63 59.63
Sites, in units of the cell vectors:
S 0.729 0.271 0.770
S 0.720 0.246 0.246
S 0.271 0.729 0.229
S 0.711 0.754 0.754
S 0.729 0.771 0.271
S 0.280 0.754 0.754
S 0.271 0.230 0.729
S 0.289 0.246 0.246
Cr 0.500 0.000 0.500
Cr 0.500 0.500 0.000
Y 0.000 0.500 0.500
Y 0.500 0.500 0.500
Mg 0.126 0.124 0.124
Mg 0.874 0.876 0.876